<P>
Density functional theory data (PBE-GGA) for Na3AlF6 after structural relaxation.

Cell lengths 5.6811, 5.4728, 9.5817 Å; angles 55.38, 90.00, 90.00 degrees
With the nearest neighbours (Å) after each atom.
Atoms (fractional coordinates):
F  0.0494  0.1101  0.7817  1 Al 1.84
Al  0.5000  0.0000  0.5000  6 F 1.83-1.84
F  0.4506  0.1101  0.2817  1 Al 1.84
F  0.3257  0.3201  0.4526  1 Al 1.83
Na  0.4464  0.2694  0.7460  5 F 2.31-2.56
F  0.1743  0.3201  0.9526  1 Al 1.83
F  0.7677  0.2306  0.4330  1 Al 1.84
Na  0.0000  0.5000  0.5000  6 F 2.26-2.32
Al  0.0000  0.0000  0.0000  6 F 1.83-1.84
F  0.9506  0.8899  0.2183  1 Al 1.84
F  0.2677  0.7694  0.0670  1 Al 1.84
F  0.8257  0.6799  0.0474  1 Al 1.83
Na  0.5000  0.5000  0.0000  6 F 2.26-2.32
F  0.2323  0.7694  0.5670  1 Al 1.84
F  0.6743  0.6799  0.5474  1 Al 1.83
Na  0.5536  0.7306  0.2540  5 F 2.31-2.56
Na  0.9464  0.7306  0.7540  5 F 2.31-2.56
F  0.5494  0.8899  0.7183  1 Al 1.84
Na  0.0536  0.2694  0.2460  5 F 2.31-2.56
F  0.7323  0.2306  0.9330  1 Al 1.84

---

<Q>
Density functional theory data (PBE-GGA) for Na3AlF6 after structural relaxation.

Cell lengths 5.6663, 5.6663, 5.6663 Å; angles 60.00, 60.00, 60.00 degrees
With the nearest neighbours (Å) after each atom.
Atoms (fractional coordinates):
Na  0.2500  0.2500  0.2500  12 F 2.84
F  0.7730  0.2270  0.2270  1 Al 1.82
Na  0.5000  0.5000  0.5000  6 F 2.19
F  0.2270  0.7730  0.2270  1 Al 1.82
F  0.2270  0.2270  0.7730  1 Al 1.82
F  0.7730  0.2270  0.7730  1 Al 1.82
F  0.7730  0.7730  0.2270  1 Al 1.82
Na  0.7500  0.7500  0.7500  12 F 2.84
F  0.2270  0.7730  0.7730  1 Al 1.82
Al  0.0000  0.0000  0.0000  6 F 1.82

---

Going by the computed energies, the most stable comes first: <P>, <Q>.

---

<P>
Density functional theory data (PBE-GGA) for SrCaBiSbO6 after structural relaxation.

Cell lengths 8.4401, 8.4328, 8.4425 Å; angles 90.00, 90.00, 90.00 degrees
With the nearest neighbours (Å) after each atom.
Atoms (fractional coordinates):
O  0.2841  0.9805  0.7992  1 Sb 2.01
Ca  0.0000  0.5000  0.0000  4 O 2.39
O  0.7865  0.4818  0.7027  1 Sb 2.01
O  0.5201  0.2940  0.7857  1 Sb 2.02
Sb  0.2473  0.7500  0.7495  6 O 2.01-2.03
O  0.7032  0.2164  0.5171  1 Sb 2.03
O  0.1915  0.2930  0.0216  1 Sb 2.02
Ca  0.5000  0.5000  0.5000  12 O 2.95-2.98
O  0.2968  0.7836  0.5171  1 Sb 2.03
O  0.7032  0.7836  0.4829  1 Sb 2.03
O  0.2968  0.2164  0.4829  1 Sb 2.03
Bi  0.2467  0.7505  0.2503  6 O 2.31-2.37
Sb  0.7527  0.7500  0.2505  6 O 2.01-2.03
O  0.8085  0.2930  0.9784  1 Sb 2.02
Sb  0.7527  0.2500  0.7495  6 O 2.01-2.03
Sb  0.2473  0.2500  0.2505  6 O 2.01-2.03
O  0.2841  0.0195  0.2008  1 Sb 2.01
Bi  0.7533  0.7505  0.7497  6 O 2.31-2.37
O  0.7865  0.5182  0.2973  1 Sb 2.01
Sr  0.5000  0.0000  0.5000  4 O 2.51
Ca  0.0000  0.0000  0.5000  4 O 2.38
O  0.0184  0.1945  0.2967  1 Sb 2.03
O  0.5201  0.7060  0.2143  1 Sb 2.02
O  0.0184  0.8055  0.7034  1 Sb 2.03
Ca  0.0000  0.0000  0.0000  12 O 2.94-3.00
O  0.8085  0.7070  0.0216  1 Sb 2.02
O  0.2135  0.4818  0.2973  1 Sb 2.01
Bi  0.7533  0.2495  0.2503  6 O 2.31-2.37
O  0.9816  0.8055  0.2967  1 Sb 2.03
Sr  0.5000  0.0000  0.0000  4 O 2.49
O  0.2135  0.5182  0.7027  1 Sb 2.01
O  0.7159  0.9805  0.2008  1 Sb 2.01
O  0.4799  0.7060  0.7857  1 Sb 2.02
O  0.4799  0.2940  0.2143  1 Sb 2.02
O  0.7159  0.0195  0.7992  1 Sb 2.01
O  0.9816  0.1945  0.7034  1 Sb 2.03
O  0.1915  0.7070  0.9784  1 Sb 2.02
Sr  0.5000  0.5000  0.0000  4 O 2.51
Sr  0.0000  0.5000  0.5000  4 O 2.49
Bi  0.2467  0.2495  0.7497  6 O 2.31-2.37

---

<Q>
Density functional theory data (PBE-GGA) for SrCaBiSbO6 after structural relaxation.

Cell lengths 6.0286, 6.0286, 6.0286 Å; angles 60.00, 60.00, 60.00 degrees
With the nearest neighbours (Å) after each atom.
Atoms (fractional coordinates):
O  0.7339  0.2661  0.2661  1 Sb 1.99
O  0.2661  0.7339  0.7339  1 Sb 1.99
O  0.7339  0.7339  0.2661  1 Sb 1.99
Sr  0.7500  0.7500  0.7500  12 O 3.02
O  0.7339  0.2661  0.7339  1 Sb 1.99
Bi  0.0000  0.0000  0.0000  6 O 2.27
O  0.2661  0.7339  0.2661  1 Sb 1.99
Ca  0.2500  0.2500  0.2500  12 O 3.02
Sb  0.5000  0.5000  0.5000  6 O 1.99
O  0.2661  0.2661  0.7339  1 Sb 1.99

---

Going by the computed energies, the most stable comes first: <P>, <Q>.

---

<P>
Density functional theory data (PBE-GGA) for MgPO7 after structural relaxation.

Cell lengths 10.0342, 10.2975, 10.6994 Å; angles 90.00, 90.00, 90.00 degrees
With the nearest neighbours (Å) after each atom.
Atoms (fractional coordinates):
Mg  0.1987  0.7322  0.6131  4 O 1.93-2.15
O  0.1598  0.4769  0.0118  2 O 1.28-1.33
O  0.7086  0.0446  0.8749  1 O 1.33
P  0.4859  0.3589  0.8542  4 O 1.53-1.56
O  0.0872  0.6810  0.4744  1 P 1.54
P  0.4859  0.1411  0.3542  4 O 1.53-1.56
O  0.7914  0.9554  0.3749  1 O 1.33
Mg  0.8013  0.2678  0.3869  4 O 1.93-2.15
O  0.5226  0.4920  0.1682  1 P 1.56
O  0.7086  0.4554  0.3749  1 O 1.33
O  0.4194  0.2023  0.2403  1 P 1.53
O  0.5806  0.7023  0.2597  1 P 1.53
O  0.6317  0.1821  0.3663  1 P 1.53
O  0.3402  0.5231  0.5118  2 O 1.28-1.33
O  0.3402  0.9769  0.0118  2 O 1.28-1.33
Mg  0.8013  0.2322  0.8869  4 O 1.93-2.15
O  0.9774  0.5080  0.6682  1 P 1.56
O  0.4194  0.2977  0.7403  1 P 1.53
O  0.7914  0.5446  0.8749  1 O 1.33
Mg  0.1987  0.7678  0.1131  4 O 1.93-2.15
O  0.8683  0.8179  0.8663  1 P 1.53
P  0.0141  0.8589  0.8542  4 O 1.53-1.56
O  0.9128  0.1810  0.0256  1 P 1.54
O  0.6649  0.3804  0.5639  1 O 1.28
O  0.2914  0.9554  0.1251  1 O 1.33
P  0.5141  0.8589  0.6458  4 O 1.53-1.56
O  0.4128  0.3190  0.9744  1 P 1.54
O  0.1598  0.0231  0.5118  2 O 1.28-1.33
P  0.9859  0.1411  0.1458  4 O 1.53-1.56
O  0.9774  0.9920  0.1682  1 P 1.56
O  0.6649  0.1196  0.0639  1 O 1.28
O  0.8351  0.8804  0.5639  1 O 1.28
O  0.4774  0.9920  0.3318  1 P 1.56
O  0.1317  0.1821  0.1337  1 P 1.53
Mg  0.6987  0.7322  0.8869  4 O 1.93-2.15
O  0.0872  0.8190  0.9744  1 P 1.54
O  0.2086  0.4554  0.1251  1 O 1.33
O  0.9194  0.2977  0.7597  1 P 1.53
O  0.2914  0.5446  0.6251  1 O 1.33
O  0.3683  0.6821  0.1337  1 P 1.53
O  0.8351  0.6196  0.0639  1 O 1.28
O  0.6598  0.0231  0.9882  2 O 1.28-1.33
Mg  0.6987  0.7678  0.3869  4 O 1.93-2.15
O  0.1649  0.3804  0.9361  1 O 1.28
O  0.3351  0.8804  0.9361  1 O 1.28
O  0.5226  0.0080  0.6682  1 P 1.56
O  0.3683  0.8179  0.6337  1 P 1.53
O  0.0226  0.0080  0.8318  1 P 1.56
Mg  0.3013  0.2678  0.1131  4 O 1.93-2.15
O  0.4128  0.1810  0.4744  1 P 1.54
O  0.8402  0.5231  0.9882  2 O 1.28-1.33
O  0.4774  0.5080  0.8318  1 P 1.56
O  0.3351  0.6196  0.4361  1 O 1.28
O  0.0806  0.7023  0.2403  1 P 1.53
O  0.6598  0.4769  0.4882  2 O 1.28-1.33
O  0.1317  0.3179  0.6337  1 P 1.53
O  0.5806  0.7977  0.7597  1 P 1.53
O  0.8402  0.9769  0.4882  2 O 1.28-1.33
O  0.9194  0.2023  0.2597  1 P 1.53
O  0.6317  0.3179  0.8663  1 P 1.53
P  0.5141  0.6411  0.1458  4 O 1.53-1.56
O  0.0806  0.7977  0.7403  1 P 1.53
Mg  0.3013  0.2322  0.6131  4 O 1.93-2.15
O  0.5872  0.8190  0.5256  1 P 1.54
P  0.9859  0.3589  0.6458  4 O 1.53-1.56
P  0.0141  0.6411  0.3542  4 O 1.53-1.56
O  0.5872  0.6810  0.0256  1 P 1.54
O  0.1649  0.1196  0.4361  1 O 1.28
O  0.9128  0.3190  0.5256  1 P 1.54
O  0.2086  0.0446  0.6251  1 O 1.33
O  0.8683  0.6821  0.3663  1 P 1.53
O  0.0226  0.4920  0.3318  1 P 1.56

---

<Q>
Density functional theory data (PBE-GGA) for MgPO7 after structural relaxation.

Cell lengths 10.7311, 10.0317, 10.5521 Å; angles 90.00, 90.00, 90.00 degrees
With the nearest neighbours (Å) after each atom.
Atoms (fractional coordinates):
Mg  0.6004  0.1818  0.7783  3 O 1.93-1.94
O  0.3848  0.7066  0.4251  1 O 1.30
O  0.2389  0.0650  0.6825  1 P 1.54
Mg  0.8996  0.6818  0.7783  3 O 1.93-1.94
O  0.2389  0.4350  0.1825  1 P 1.54
P  0.6377  0.5092  0.8692  4 O 1.53-1.56
O  0.6580  0.5328  0.0140  1 P 1.56
O  0.5017  0.6817  0.4458  2 O 1.30
P  0.8623  0.0092  0.8692  4 O 1.53-1.56
Mg  0.3996  0.6818  0.7217  3 O 1.93-1.94
O  0.9983  0.3183  0.9458  2 O 1.30
O  0.5323  0.6519  0.5615  1 O 1.30
O  0.0323  0.6519  0.9385  1 O 1.30
O  0.8848  0.7934  0.5749  1 O 1.30
O  0.7389  0.0650  0.8175  1 P 1.54
O  0.1580  0.9672  0.9860  1 P 1.56
O  0.6228  0.1395  0.3409  1 P 1.53
O  0.5267  0.9119  0.3174  1 P 1.53
O  0.6152  0.2066  0.0749  1 O 1.30
O  0.3420  0.4672  0.9860  1 P 1.56
Mg  0.1004  0.3182  0.2217  3 O 1.93-1.94
O  0.1228  0.1395  0.1591  1 P 1.53
O  0.4733  0.4119  0.1826  1 P 1.53
O  0.0323  0.8481  0.4385  1 O 1.30
O  0.6228  0.3605  0.8409  1 P 1.53
O  0.0017  0.6817  0.0542  2 O 1.30
O  0.9733  0.4119  0.3174  1 P 1.53
O  0.4733  0.0881  0.6826  1 P 1.53
O  0.3772  0.8605  0.6591  1 P 1.53
O  0.6152  0.2934  0.5749  1 O 1.30
O  0.2611  0.5650  0.6825  1 P 1.54
O  0.3420  0.0328  0.4860  1 P 1.56
P  0.1377  0.5092  0.6308  4 O 1.53-1.56
O  0.5017  0.8183  0.9458  2 O 1.30
O  0.1152  0.2066  0.4251  1 O 1.30
O  0.2611  0.9350  0.1825  1 P 1.54
O  0.4677  0.3481  0.4385  1 O 1.30
O  0.8420  0.0328  0.0140  1 P 1.56
O  0.9677  0.1519  0.5615  1 O 1.30
O  0.1152  0.2934  0.9251  1 O 1.30
P  0.3623  0.0092  0.6308  4 O 1.53-1.56
O  0.8848  0.7066  0.0749  1 O 1.30
O  0.9677  0.3481  0.0615  1 O 1.30
O  0.9983  0.1817  0.4458  2 O 1.30
P  0.6377  0.9908  0.3692  4 O 1.53-1.56
O  0.3772  0.6395  0.1591  1 P 1.53
O  0.4677  0.1519  0.9385  1 O 1.30
P  0.8623  0.4908  0.3692  4 O 1.53-1.56
O  0.0017  0.8183  0.5542  2 O 1.30
O  0.7611  0.5650  0.8175  1 P 1.54
Mg  0.1004  0.1818  0.7217  3 O 1.93-1.94
O  0.5323  0.8481  0.0615  1 O 1.30
O  0.0267  0.9119  0.1826  1 P 1.53
O  0.6580  0.9672  0.5140  1 P 1.56
O  0.4983  0.3183  0.5542  2 O 1.30
O  0.9733  0.0881  0.8174  1 P 1.53
Mg  0.8996  0.8182  0.2783  3 O 1.93-1.94
P  0.1377  0.9908  0.1308  4 O 1.53-1.56
O  0.1580  0.5328  0.4860  1 P 1.56
O  0.3848  0.7934  0.9251  1 O 1.30
Mg  0.3996  0.8182  0.2217  3 O 1.93-1.94
P  0.3623  0.4908  0.1308  4 O 1.53-1.56
O  0.7389  0.4350  0.3175  1 P 1.54
O  0.4983  0.1817  0.0542  2 O 1.30
O  0.1228  0.3605  0.6591  1 P 1.53
O  0.8420  0.4672  0.5140  1 P 1.56
O  0.0267  0.5881  0.6826  1 P 1.53
O  0.5267  0.5881  0.8174  1 P 1.53
O  0.8772  0.6395  0.3409  1 P 1.53
O  0.8772  0.8605  0.8409  1 P 1.53
Mg  0.6004  0.3182  0.2783  3 O 1.93-1.94
O  0.7611  0.9350  0.3175  1 P 1.54

---

Going by the computed energies, the most stable comes first: <Q>, <P>.

---

<P>
Density functional theory data (PBE-GGA) for Li3BiS3 after structural relaxation.

Cell lengths 7.7492, 7.7492, 7.7492 Å; angles 54.80, 54.80, 54.80 degrees
With the nearest neighbours (Å) after each atom.
Atoms (fractional coordinates):
Li  0.3163  0.9112  0.6314  4 S 2.46-2.51
Li  0.0888  0.3686  0.6837  4 S 2.46-2.51
Li  0.6314  0.3163  0.9112  4 S 2.46-2.51
Bi  0.8303  0.8303  0.8303  6 S 2.77-2.92
S  0.0430  0.7734  0.4223  4 Li 2.46-2.51
S  0.7734  0.4223  0.0430  4 Li 2.46-2.51
Li  0.6837  0.0888  0.3686  4 S 2.46-2.51
S  0.2266  0.5777  0.9570  4 Li 2.46-2.51
S  0.4223  0.0430  0.7734  4 Li 2.46-2.51
Li  0.3686  0.6837  0.0888  4 S 2.46-2.51
Bi  0.1697  0.1697  0.1697  6 S 2.77-2.92
S  0.5777  0.9570  0.2266  4 Li 2.46-2.51
Li  0.9112  0.6314  0.3163  4 S 2.46-2.51
S  0.9570  0.2266  0.5777  4 Li 2.46-2.51

---

<Q>
Density functional theory data (PBE-GGA) for Li3BiS3 after structural relaxation.

Cell lengths 12.4291, 4.0115, 12.1746 Å; angles 76.03, 90.00, 90.00 degrees
With the nearest neighbours (Å) after each atom.
Atoms (fractional coordinates):
Li  0.0419  0.8792  0.1191  4 S 2.41-2.58
Li  0.0302  0.2249  0.3949  4 S 2.47-2.61
Bi  0.7069  0.1165  0.7510  3 S 2.61-2.65
S  0.8763  0.7040  0.7881  4 Li 2.45-2.55, 1 Bi 2.65
S  0.1464  0.0684  0.9308  4 Li 2.41-2.58, 1 Bi 2.61
Li  0.9698  0.7751  0.6051  4 S 2.47-2.61
Li  0.5419  0.1208  0.3809  4 S 2.41-2.58
Li  0.2808  0.4886  0.5260  4 S 2.44-2.51
Li  0.4581  0.8792  0.6191  4 S 2.41-2.58
S  0.6237  0.7040  0.2881  4 Li 2.45-2.55, 1 Bi 2.65
S  0.3763  0.2960  0.7119  4 Li 2.45-2.55, 1 Bi 2.65
S  0.6464  0.9316  0.5692  4 Li 2.41-2.58, 1 Bi 2.61
Li  0.4698  0.2249  0.8949  4 S 2.47-2.61
Li  0.2192  0.4886  0.0260  4 S 2.44-2.51
Bi  0.2931  0.8835  0.2490  3 S 2.61-2.65
Li  0.7808  0.5114  0.9740  4 S 2.44-2.51
Li  0.7192  0.5114  0.4740  4 S 2.44-2.51
Bi  0.7931  0.1165  0.2510  3 S 2.61-2.65
S  0.4062  0.2989  0.0916  4 Li 2.49-2.61, 1 Bi 2.62
Li  0.5302  0.7751  0.1051  4 S 2.47-2.61
S  0.9062  0.7011  0.4084  4 Li 2.49-2.61, 1 Bi 2.62
S  0.8536  0.9316  0.0692  4 Li 2.41-2.58, 1 Bi 2.61
S  0.1237  0.2960  0.2119  4 Li 2.45-2.55, 1 Bi 2.65
Li  0.9581  0.1208  0.8809  4 S 2.41-2.58
S  0.0938  0.2989  0.5916  4 Li 2.49-2.61, 1 Bi 2.62
S  0.5938  0.7011  0.9084  4 Li 2.49-2.61, 1 Bi 2.62
S  0.3536  0.0684  0.4308  4 Li 2.41-2.58, 1 Bi 2.61
Bi  0.2069  0.8835  0.7490  3 S 2.61-2.65

---

Going by the computed energies, the most stable comes first: <P>, <Q>.